Mo3Pt after structural relaxation. Source: the Materials Project database, functional PBE. Values from VASP.

Values from the calculation:
DFT formation energy = -0.085 eV/atom
Theoretical density = 12.777 g/cm3
Polymorph energy (0 for the lowest one) = 0.0271 eV/atom
Space-group type = Pm-3m (221)

```
&SYSTEM
  ibrav = 0, nat = 4, ntyp = 2
/
ATOMIC_SPECIES
Mo 95.94 Mo.upf
Pt 195.08 Pt.upf
ATOMIC_POSITIONS angstrom
Mo 0.000 1.987 1.987
Mo 1.987 0.000 1.987
Mo 1.987 1.987 0.000
Pt 0.000 0.000 0.000
CELL_PARAMETERS angstrom
3.974 0.000 0.000
0.000 3.974 0.000
0.000 0.000 3.974
```